1.
Below is a relaxed Ti3Bi4O12 crystal, with properties calculated at the PBE level.

a = 5.470 Å, b = 33.416 Å, c = 5.536 Å
α = 90.00°, β = 90.00°, γ = 90.00°
Space group Aea2 (No. 41)
Asymmetric unit:
Ti 0.000 0.000 0.000 x4
Ti 0.003 0.127 0.007 x8
Bi 0.003 0.434 0.958 x8
Bi 0.025 0.289 0.930 x8
O 0.064 0.321 0.516 x8
O 0.077 0.058 0.053 x8
O 0.203 0.124 0.320 x8
O 0.223 0.391 0.254 x8
O 0.241 0.249 0.204 x8
O 0.247 0.490 0.786 x8

For the calculated density, the calculation gives 7.7 Mg/m³. The calculated formation energy is -48.35 eV per formula unit. The piezoelectric modulus e_max comes out at 6.08 C/m2. The calculation puts the energy relative to the lowest polymorph listed for this composition at 4 meV per atom. The total energy is -0.268 hartree per atom.

2.
Below is a relaxed Ti3Bi4O12 crystal, with properties calculated at the PBE level.

a = 3.838 Å, b = 3.838 Å, c = 33.242 Å
α = 90.00°, β = 90.00°, γ = 90.00°
Space group I4/mmm (No. 139)
Asymmetric unit:
Ti 0.000 0.000 0.000 x2
Ti 0.000 0.000 0.128 x4
Bi 0.000 0.000 0.289 x4
Bi 0.000 0.000 0.433 x4
O 0.000 0.000 0.060 x4
O 0.000 0.000 0.182 x4
O 0.000 0.500 0.000 x4
O 0.000 0.500 0.115 x8
O 0.000 0.500 0.250 x4

For the calculated density, the calculation gives 7.9 Mg/m³. The calculated formation energy is -47.24 eV per formula unit. The calculation puts the energy relative to the lowest polymorph listed for this composition at 63 meV per atom. The total energy is -0.266 hartree per atom.

3.
Below is a relaxed Ti2Bi2O7 crystal, with properties calculated at the PBE level.

a = 7.427 Å, b = 10.521 Å, c = 7.455 Å
α = 90.00°, β = 90.00°, γ = 90.00°
Space group Pna2_1 (No. 33)
Asymmetric unit:
Ti 0.010 0.010 0.000 x4
Ti 0.239 0.738 0.240 x4
Bi 0.037 0.471 0.970 x4
Bi 0.218 0.766 0.787 x4
O 0.004 0.929 0.740 x4
O 0.012 0.316 0.757 x4
O 0.017 0.377 0.253 x4
O 0.171 0.865 0.048 x4
O 0.190 0.877 0.432 x4
O 0.203 0.116 0.927 x4
O 0.210 0.124 0.541 x4

For the calculated density, the calculation gives 7.1 Mg/m³. The calculated formation energy is -29.35 eV per formula unit. The calculation puts the energy relative to the lowest polymorph listed for this composition at 0 meV per atom. The total energy is -0.276 hartree per atom.